## LiHfSe2 (r²SCAN)

Data for a relaxed LiHfSe2 crystal.

Cell: 3.7059 3.7059 6.5996 Å, 90.00 90.00 120.00°
Closest atoms and distances in Å follow each position.
Element x y z (fractional)
Li 0.0000 0.0000 0.5000  6 Se 2.71
Hf 0.0000 0.0000 0.0000  6 Se 2.70
Se 0.6667 0.3333 0.7517  3 Hf 2.70, 3 Li 2.71
Se 0.3333 0.6667 0.2483  3 Hf 2.70, 3 Li 2.71

Properties
E_form	-1.482	eV per atom
density	7.26	Mg/m³
space-group type	No. 164